This record from the Materials Project database describes Ta2Ni3Se8 after structural relaxation. The functional is PBE-GGA.

Output
Final energy in eV/atom: -5.901
Energy of formation in meV per atom: -882

a = 3.494 Å, b = 10.634 Å, c = 14.955 Å
α = 90.00°, β = 90.00°, γ = 90.00°
Sites, in units of the cell vectors:
Ni 0.000 0.634 0.778
Ni 0.000 0.866 0.278
Ni 0.000 0.000 0.000
Ni 0.000 0.500 0.500
Ni 0.000 0.366 0.222
Ni 0.000 0.134 0.722
Ta 0.500 0.701 0.380
Ta 0.500 0.201 0.120
Ta 0.500 0.799 0.880
Ta 0.500 0.299 0.620
Se 0.500 0.057 0.629
Se 0.000 0.975 0.844
Se 0.500 0.744 0.213
Se 0.000 0.720 0.509
Se 0.500 0.557 0.871
Se 0.000 0.220 0.991
Se 0.500 0.756 0.713
Se 0.000 0.025 0.156
Se 0.500 0.244 0.287
Se 0.000 0.280 0.491
Se 0.000 0.525 0.344
Se 0.000 0.475 0.656
Se 0.500 0.943 0.371
Se 0.000 0.780 0.009
Se 0.500 0.256 0.787
Se 0.500 0.443 0.129

***

This record from the Materials Project database describes U2Ni12P7 after structural relaxation. The functional is PBE-GGA.

Output
Final energy in eV/atom: -6.834
Energy of formation in meV per atom: -652

a = 9.069 Å, b = 9.069 Å, c = 3.670 Å
α = 90.00°, β = 90.00°, γ = 120.00°
Sites, in units of the cell vectors:
U 0.333 0.667 0.500
U 0.000 0.000 0.000
Ni 0.392 0.213 0.000
Ni 0.100 0.390 0.000
Ni 0.883 0.426 0.500
Ni 0.054 0.764 0.500
Ni 0.236 0.290 0.500
Ni 0.820 0.608 0.000
Ni 0.543 0.117 0.500
Ni 0.710 0.946 0.500
Ni 0.787 0.180 0.000
Ni 0.610 0.710 0.000
Ni 0.290 0.900 0.000
Ni 0.574 0.457 0.500
P 0.667 0.333 0.000
P 0.781 0.739 0.500
P 0.958 0.219 0.500
P 0.261 0.042 0.500
P 0.375 0.448 0.000
P 0.552 0.926 0.000
P 0.074 0.625 0.000

***

This record from the Materials Project database describes La2Hf2O7 after structural relaxation. The functional is PBE-GGA.

Output
Final energy in eV/atom: -9.462
Energy of formation in meV per atom: -4042

a = 7.643 Å, b = 7.643 Å, c = 7.643 Å
α = 60.00°, β = 60.00°, γ = 60.00°
Sites, in units of the cell vectors:
La 0.125 0.625 0.125
La 0.625 0.125 0.125
La 0.125 0.125 0.125
La 0.125 0.125 0.625
O 0.545 0.545 0.955
O 0.705 0.295 0.295
O 0.295 0.295 0.705
O 0.705 0.705 0.295
O 0.955 0.545 0.545
O 0.545 0.955 0.955
O 0.705 0.295 0.705
O 0.295 0.705 0.295
O 0.955 0.955 0.545
O 0.295 0.705 0.705
O 0.250 0.250 0.250
O 0.545 0.955 0.545
O 0.955 0.545 0.955
O 0.000 0.000 0.000
Hf 0.625 0.125 0.625
Hf 0.125 0.625 0.625
Hf 0.625 0.625 0.125
Hf 0.625 0.625 0.625

***

This record from the Materials Project database describes UInCu5 after structural relaxation. The functional is PBE-GGA.

Output
Final energy in eV/atom: -4.909
Energy of formation in meV per atom: 25

a = 5.040 Å, b = 8.341 Å, c = 10.632 Å
α = 90.00°, β = 90.00°, γ = 90.00°
Sites, in units of the cell vectors:
Cu 0.999 0.569 0.187
Cu 0.501 0.569 0.187
Cu 0.750 0.084 0.517
Cu 0.499 0.931 0.687
Cu 0.250 0.559 0.396
Cu 0.250 0.817 0.258
Cu 0.250 0.317 0.242
Cu 0.750 0.941 0.896
Cu 0.001 0.931 0.687
Cu 0.750 0.584 0.983
Cu 0.999 0.069 0.313
Cu 0.499 0.431 0.813
Cu 0.250 0.059 0.104
Cu 0.750 0.683 0.758
Cu 0.001 0.431 0.813
Cu 0.250 0.916 0.483
Cu 0.750 0.441 0.604
Cu 0.250 0.416 0.017
Cu 0.750 0.183 0.742
Cu 0.501 0.069 0.313
U 0.750 0.749 0.439
U 0.250 0.251 0.561
U 0.750 0.249 0.061
U 0.250 0.751 0.939
In 0.250 0.636 0.637
In 0.250 0.136 0.863
In 0.750 0.364 0.363
In 0.750 0.864 0.137

***

This record from the Materials Project database describes RbNbSiO5 after structural relaxation. The functional is PBE-GGA.

Output
Energy above the lowest structure with this stoichiometry in kcal/mol of atoms: 0.000
Final energy in eV/atom: -7.761
Energy of formation in meV per atom: -3035

a = 7.419 Å, b = 10.465 Å, c = 20.488 Å
α = 90.00°, β = 90.00°, γ = 90.00°
Sites, in units of the cell vectors:
O 0.428 0.644 0.577
O 0.456 0.295 0.281
O 0.977 0.145 0.592
O 0.432 0.619 0.132
O 0.225 0.821 0.164
O 0.075 0.332 0.410
O 0.932 0.881 0.868
O 0.925 0.832 0.090
O 0.575 0.168 0.590
O 0.760 0.091 0.806
O 0.094 0.277 0.282
O 0.735 0.685 0.501
O 0.544 0.894 0.865
O 0.068 0.381 0.632
O 0.265 0.185 0.999
O 0.766 0.066 0.485
O 0.558 0.899 0.564
O 0.260 0.409 0.194
O 0.240 0.591 0.694
O 0.406 0.723 0.782
O 0.947 0.122 0.927
O 0.058 0.601 0.436
O 0.765 0.315 0.001
O 0.734 0.934 0.985
O 0.076 0.377 0.933
O 0.775 0.321 0.336
O 0.572 0.144 0.923
O 0.544 0.795 0.219
O 0.447 0.378 0.073
O 0.235 0.815 0.499
O 0.740 0.909 0.306
O 0.568 0.119 0.368
O 0.442 0.399 0.936
O 0.956 0.205 0.719
O 0.594 0.223 0.718
O 0.424 0.623 0.433
O 0.523 0.855 0.092
O 0.023 0.645 0.908
O 0.072 0.356 0.077
O 0.924 0.877 0.567
O 0.244 0.504 0.821
O 0.956 0.106 0.365
O 0.906 0.777 0.218
O 0.266 0.434 0.515
O 0.275 0.179 0.664
O 0.576 0.123 0.067
O 0.725 0.679 0.836
O 0.456 0.394 0.635
O 0.234 0.566 0.015
O 0.756 0.004 0.679
O 0.044 0.705 0.781
O 0.744 0.996 0.179
O 0.553 0.878 0.427
O 0.942 0.101 0.064
O 0.044 0.606 0.135
O 0.477 0.355 0.408
O 0.928 0.856 0.423
O 0.425 0.668 0.910
O 0.053 0.622 0.573
O 0.256 0.496 0.321
Rb 0.743 0.687 0.667
Rb 0.241 0.884 0.652
Rb 0.757 0.313 0.167
Rb 0.779 0.382 0.518
Rb 0.279 0.118 0.482
Rb 0.221 0.882 0.982
Rb 0.741 0.616 0.348
Rb 0.257 0.187 0.833
Rb 0.259 0.116 0.152
Rb 0.721 0.618 0.018
Rb 0.759 0.384 0.848
Rb 0.243 0.813 0.333
Si 0.235 0.623 0.770
Si 0.523 0.743 0.851
Si 0.934 0.731 0.850
Si 0.066 0.231 0.650
Si 0.566 0.269 0.350
Si 0.265 0.377 0.270
Si 0.765 0.123 0.730
Si 0.735 0.877 0.230
Si 0.477 0.243 0.649
Si 0.434 0.769 0.150
Si 0.023 0.757 0.149
Si 0.977 0.257 0.351
Nb 0.735 0.980 0.076
Nb 0.986 0.733 0.500
Nb 0.259 0.516 0.604
Nb 0.241 0.484 0.104
Nb 0.514 0.267 0.000
Nb 0.759 0.984 0.396
Nb 0.486 0.767 0.500
Nb 0.014 0.233 0.000
Nb 0.265 0.480 0.424
Nb 0.765 0.020 0.576
Nb 0.741 0.016 0.896
Nb 0.235 0.520 0.924

***

This record from the Materials Project database describes Ta2Co21B6 after structural relaxation. The functional is PBE-GGA.

Output
Final energy in eV/atom: -7.629
Energy of formation in meV per atom: -282

a = 7.423 Å, b = 7.423 Å, c = 7.423 Å
α = 60.00°, β = 60.00°, γ = 60.00°
Sites, in units of the cell vectors:
Co 0.000 0.338 0.000
Co 0.617 0.150 0.617
Co 0.662 0.338 0.000
Co 0.000 0.000 0.662
Co 0.000 0.000 0.338
Co 0.000 0.000 0.000
Co 0.150 0.617 0.617
Co 0.338 0.000 0.000
Co 0.662 0.000 0.338
Co 0.000 0.338 0.662
Co 0.383 0.850 0.383
Co 0.617 0.617 0.150
Co 0.662 0.000 0.000
Co 0.383 0.383 0.850
Co 0.850 0.383 0.383
Co 0.338 0.000 0.662
Co 0.338 0.662 0.000
Co 0.617 0.617 0.617
Co 0.383 0.383 0.383
Co 0.000 0.662 0.000
Co 0.000 0.662 0.338
B 0.275 0.275 0.725
B 0.725 0.275 0.725
B 0.275 0.725 0.275
B 0.275 0.725 0.725
B 0.725 0.275 0.275
B 0.725 0.725 0.275
Ta 0.750 0.750 0.750
Ta 0.250 0.250 0.250

***

This record from the Materials Project database describes Ba2HfO4 after structural relaxation. The functional is PBE-GGA.

Output
Final energy in eV/atom: -7.942
Energy of formation in meV per atom: -3536

a = 7.430 Å, b = 7.430 Å, c = 7.430 Å
α = 147.21°, β = 147.21°, γ = 47.06°
Sites, in units of the cell vectors:
O 0.845 0.845 0.000
O 0.155 0.155 0.000
O 0.000 0.500 0.500
O 0.500 0.000 0.500
Hf 0.000 0.000 0.000
Ba 0.353 0.353 0.000
Ba 0.647 0.647 0.000